This record from the Materials Project describes a relaxed structure of Ba3Ga4O9. The functional is PBE.

a b c (Å): 7.131 8.354 10.096
angles (deg): 85.07 73.15 74.61
Space group P-1 (No. 2)
Inequivalent atoms, fractional coordinates:
Ba 0.055 0.056 0.191 [2 per cell]
Ba 0.182 0.567 0.168 [2 per cell]
Ba 0.306 0.218 0.465 [2 per cell]
Ga 0.261 0.741 0.440 [2 per cell]
Ga 0.341 0.550 0.731 [2 per cell]
Ga 0.402 0.174 0.803 [2 per cell]
Ga 0.440 0.810 0.915 [2 per cell]
O 0.034 0.808 0.378 [2 per cell]
O 0.221 0.372 0.768 [2 per cell]
O 0.221 0.727 0.631 [2 per cell]
O 0.261 0.018 0.891 [2 per cell]
O 0.301 0.240 0.198 [2 per cell]
O 0.304 0.649 0.900 [2 per cell]
O 0.385 0.524 0.366 [2 per cell]
O 0.415 0.798 0.106 [2 per cell]
O 0.433 0.890 0.378 [2 per cell]

Output
Energy of formation from the pure elements   -2.685 eV per atom
Energy with MP2020 corrections   -6.58 eV per atom
Raw total energy   -99.17 eV/f.u.